No. 1
{
  "formula": "LaCoC2",
  "functional": "PBE-GGA",
  "state": "optimized geometry",
  "lattice_angstrom": [[5.4719, 0.0000, 0.0000], [0.0000, 5.4741, 0.0000], [-1.5892, 0.0000, 7.2666]],
  "species": ["La", "La", "La", "La", "Co", "Co", "Co", "Co", "C", "C", "C", "C", "C", "C", "C", "C"],
  "frac_coords": [[0.0000, 0.0735, 0.0000], [0.0000, 0.9265, 0.5000], [0.5000, 0.4265, 0.5000], [0.5000, 0.5735, 0.0000], [0.0576, 0.4299, 0.6927], [0.0576, 0.5701, 0.1927], [0.5576, 0.0701, 0.1927], [0.5576, 0.9299, 0.6927], [0.3299, 0.1803, 0.7724], [0.3299, 0.8197, 0.2724], [0.4806, 0.0758, 0.9238], [0.4806, 0.9242, 0.4238], [0.8299, 0.3197, 0.2724], [0.8299, 0.6803, 0.7724], [0.9806, 0.4242, 0.4238], [0.9806, 0.5758, 0.9238]],
  "final_energy_ry_per_atom": -0.5814,
  "crystal_system": "monoclinic",
  "delta_e_f_ev_per_atom": -0.28
}



No. 2
{
  "formula": "Li2SnP2O7",
  "functional": "PBE-GGA",
  "state": "optimized geometry",
  "lattice_angstrom": [[9.0970, 0.0000, 0.0000], [0.0000, 5.1016, 0.0000], [-6.9885, 0.0000, 13.4709]],
  "species": ["Li", "Li", "Li", "Li", "Li", "Li", "Li", "Li", "Sn", "Sn", "Sn", "Sn", "P", "P", "P", "P", "P", "P", "P", "P", "O", "O", "O", "O", "O", "O", "O", "O", "O", "O", "O", "O", "O", "O", "O", "O", "O", "O", "O", "O", "O", "O", "O", "O", "O", "O", "O", "O"],
  "frac_coords": [[0.0041, 0.2070, 0.0728], [0.0041, 0.2930, 0.5728], [0.4094, 0.2286, 0.2895], [0.4094, 0.2714, 0.7895], [0.5906, 0.7286, 0.2105], [0.5906, 0.7714, 0.7105], [0.9959, 0.7070, 0.4272], [0.9959, 0.7930, 0.9272], [0.3000, 0.2469, 0.5170], [0.3000, 0.2531, 0.0170], [0.7000, 0.7469, 0.9830], [0.7000, 0.7531, 0.4830], [0.2074, 0.7148, 0.1604], [0.2074, 0.7852, 0.6604], [0.2966, 0.7477, 0.3698], [0.2966, 0.7523, 0.8698], [0.7034, 0.2477, 0.1302], [0.7034, 0.2523, 0.6302], [0.7926, 0.2148, 0.3396], [0.7926, 0.2852, 0.8396], [0.0525, 0.6789, 0.5720], [0.0525, 0.8211, 0.0720], [0.1681, 0.7154, 0.7541], [0.1681, 0.7846, 0.2541], [0.2035, 0.6589, 0.9271], [0.2035, 0.8411, 0.4271], [0.2198, 0.0869, 0.6564], [0.2198, 0.4131, 0.1564], [0.3491, 0.0408, 0.8876], [0.3491, 0.4592, 0.3876], [0.3671, 0.6425, 0.6806], [0.3671, 0.8575, 0.1806], [0.4459, 0.5702, 0.8920], [0.4459, 0.9298, 0.3920], [0.5541, 0.0702, 0.6080], [0.5541, 0.4298, 0.1080], [0.6329, 0.1425, 0.8194], [0.6329, 0.3575, 0.3194], [0.6509, 0.5408, 0.6124], [0.6509, 0.9592, 0.1124], [0.7802, 0.5869, 0.8436], [0.7802, 0.9131, 0.3436], [0.7965, 0.1589, 0.5729], [0.7965, 0.3411, 0.0729], [0.8319, 0.2154, 0.7459], [0.8319, 0.2846, 0.2459], [0.9475, 0.1789, 0.9280], [0.9475, 0.3211, 0.4280]],
  "corrected_energy_ev_per_atom": -6.987,
  "final_energy_ry_per_atom": -0.4841,
  "crystal_system": "monoclinic",
  "de_polymorph_mev_per_atom": 9,
  "delta_e_f_ev_per_atom": -2.55
}